Density functional theory data (PBE) for KZrP2O8 after structural relaxation.

volume = 790.9 Å³/cell
VASP energy = -7.425 eV/atom
energy of formation = -2.877 eV per atom
magnetization = 4.00 Bohr magnetons per cell
theoretical density = 2.69 Mg/m³

Cell lengths 5.4435, 9.3459, 17.0248 Å; angles 65.95, 90.00, 90.00 degrees
Fractional coordinates of all 48 atoms:
K1 0.0630 0.5000 0.7500
K2 0.9370 0.5000 0.2500
K3 0.9459 0.0000 0.7500
K4 0.0541 0.0000 0.2500
Zr1 0.7707 0.2519 0.4977
Zr2 0.7707 0.7481 0.0023
Zr3 0.2293 0.7481 0.5023
Zr4 0.2293 0.2519 0.9977
P1 0.7247 0.8354 0.6146
P2 0.7247 0.1646 0.8854
P3 0.2753 0.1646 0.3854
P4 0.2753 0.8354 0.1146
P5 0.2735 0.3331 0.6117
P6 0.2735 0.6669 0.8883
P7 0.7265 0.6669 0.3883
P8 0.7265 0.3331 0.1117
O1 0.7473 0.0154 0.5838
O2 0.7473 0.9846 0.9162
O3 0.2527 0.9846 0.4162
O4 0.2527 0.0154 0.0838
O5 0.4844 0.7945 0.5804
O6 0.4844 0.2055 0.9196
O7 0.5156 0.2055 0.4196
O8 0.5156 0.7945 0.0804
O9 0.9464 0.7763 0.5788
O10 0.9464 0.2237 0.9212
O11 0.0536 0.2237 0.4212
O12 0.0536 0.7763 0.0788
O13 0.5127 0.3107 0.5697
O14 0.5127 0.6893 0.9303
O15 0.4873 0.6893 0.4303
O16 0.4873 0.3107 0.0697
O17 0.7718 0.4899 0.4128
O18 0.7718 0.5101 0.0872
O19 0.2282 0.5101 0.5872
O20 0.2282 0.4899 0.9128
O21 0.0537 0.2683 0.5782
O22 0.0537 0.7317 0.9218
O23 0.9463 0.7317 0.4218
O24 0.9463 0.2683 0.0782
O25 0.7387 0.7536 0.7134
O26 0.7387 0.2464 0.7866
O27 0.2613 0.2464 0.2866
O28 0.2613 0.7536 0.2134
O29 0.2824 0.7566 0.7897
O30 0.2824 0.2434 0.7103
O31 0.7176 0.2434 0.2103
O32 0.7176 0.7566 0.2897